[1]
Entry from the Materials Project: a relaxed Cs3Fe4P5O20 crystal (r²SCAN).

```
Cs3Fe4P5O20
1.0
9.851 0.000 0.000
0.000 13.939 0.000
0.000 0.000 14.059
Cs Fe P O
12 16 20 80
Direct
0.189 0.611 0.626 Cs
0.311 0.889 0.626 Cs
0.689 0.389 0.874 Cs
0.811 0.111 0.874 Cs
0.811 0.389 0.374 Cs
0.689 0.111 0.374 Cs
0.311 0.611 0.126 Cs
0.189 0.889 0.126 Cs
0.250 0.250 0.763 Cs
0.750 0.750 0.737 Cs
0.750 0.750 0.237 Cs
0.250 0.250 0.263 Cs
0.125 0.956 0.849 Fe
0.375 0.544 0.849 Fe
0.625 0.044 0.651 Fe
0.875 0.456 0.651 Fe
0.875 0.044 0.151 Fe
0.625 0.456 0.151 Fe
0.375 0.956 0.349 Fe
0.125 0.544 0.349 Fe
0.463 0.163 0.009 Fe
0.037 0.337 0.009 Fe
0.963 0.837 0.491 Fe
0.537 0.663 0.491 Fe
0.537 0.837 0.991 Fe
0.963 0.663 0.991 Fe
0.037 0.163 0.509 Fe
0.463 0.337 0.509 Fe
0.360 0.122 0.523 P
0.140 0.378 0.523 P
0.860 0.878 0.977 P
0.640 0.622 0.977 P
0.640 0.878 0.477 P
0.860 0.622 0.477 P
0.140 0.122 0.023 P
0.360 0.378 0.023 P
0.442 0.016 0.842 P
0.058 0.484 0.842 P
0.942 0.984 0.658 P
0.558 0.516 0.658 P
0.558 0.984 0.158 P
0.942 0.516 0.158 P
0.058 0.016 0.342 P
0.442 0.484 0.342 P
0.250 0.750 0.900 P
0.750 0.250 0.600 P
0.750 0.250 0.100 P
0.250 0.750 0.400 P
0.371 0.032 0.461 O
0.129 0.468 0.461 O
0.871 0.968 0.039 O
0.629 0.532 0.039 O
0.629 0.968 0.539 O
0.871 0.532 0.539 O
0.129 0.032 0.961 O
0.371 0.468 0.961 O
0.214 0.131 0.561 O
0.286 0.369 0.561 O
0.714 0.869 0.939 O
0.786 0.631 0.939 O
0.786 0.869 0.439 O
0.714 0.631 0.439 O
0.286 0.131 0.061 O
0.214 0.369 0.061 O
0.398 0.210 0.463 O
0.102 0.290 0.463 O
0.898 0.790 0.037 O
0.602 0.710 0.037 O
0.602 0.790 0.537 O
0.898 0.710 0.537 O
0.102 0.210 0.963 O
0.398 0.290 0.963 O
0.454 0.110 0.609 O
0.046 0.390 0.609 O
0.954 0.890 0.891 O
0.546 0.610 0.891 O
0.546 0.890 0.391 O
0.954 0.610 0.391 O
0.046 0.110 0.109 O
0.454 0.390 0.109 O
0.455 0.941 0.920 O
0.045 0.559 0.920 O
0.955 0.059 0.580 O
0.545 0.441 0.580 O
0.545 0.059 0.080 O
0.955 0.441 0.080 O
0.045 0.941 0.420 O
0.455 0.559 0.420 O
0.483 0.115 0.882 O
0.017 0.385 0.882 O
0.983 0.885 0.618 O
0.517 0.615 0.618 O
0.517 0.885 0.118 O
0.983 0.615 0.118 O
0.017 0.115 0.382 O
0.483 0.385 0.382 O
0.540 0.991 0.760 O
0.960 0.509 0.760 O
0.040 0.009 0.740 O
0.460 0.491 0.740 O
0.460 0.009 0.240 O
0.040 0.491 0.240 O
0.960 0.991 0.260 O
0.540 0.509 0.260 O
0.297 0.021 0.804 O
0.203 0.479 0.804 O
0.797 0.979 0.696 O
0.703 0.521 0.696 O
0.703 0.979 0.196 O
0.797 0.521 0.196 O
0.203 0.021 0.304 O
0.297 0.479 0.304 O
0.216 0.835 0.834 O
0.284 0.665 0.834 O
0.716 0.165 0.666 O
0.784 0.335 0.666 O
0.784 0.165 0.166 O
0.716 0.335 0.166 O
0.284 0.835 0.334 O
0.216 0.665 0.334 O
0.131 0.730 0.967 O
0.369 0.770 0.967 O
0.631 0.270 0.533 O
0.869 0.230 0.533 O
0.869 0.270 0.033 O
0.631 0.230 0.033 O
0.369 0.730 0.467 O
0.131 0.770 0.467 O
```

As for the total magnetization: 80.0 μB per cell. For the energy relative to the elements, the calculation gives -2.2647 eV/atom. Its space group is No. 56. For the total energy, the calculation gives -11.5597 eV per atom.



[2]
Entry from the Materials Project: a relaxed Cs3FeS3 crystal (r²SCAN).

```
Cs3FeS3
1.0
3.662 -9.841 0.000
3.662 9.841 0.000
0.000 0.000 13.526
Cs Fe S
12 4 12
Direct
0.873 0.873 0.682 Cs
0.127 0.127 0.318 Cs
0.627 0.627 0.182 Cs
0.373 0.373 0.818 Cs
0.176 0.529 0.127 Cs
0.471 0.824 0.873 Cs
0.971 0.324 0.627 Cs
0.676 0.029 0.373 Cs
0.824 0.471 0.873 Cs
0.529 0.176 0.127 Cs
0.029 0.676 0.373 Cs
0.324 0.971 0.627 Cs
0.920 0.080 0.000 Fe
0.420 0.580 0.500 Fe
0.080 0.920 0.000 Fe
0.580 0.420 0.500 Fe
0.294 0.294 0.564 S
0.706 0.706 0.436 S
0.206 0.206 0.064 S
0.794 0.794 0.936 S
0.722 0.011 0.117 S
0.989 0.278 0.883 S
0.489 0.778 0.617 S
0.222 0.511 0.383 S
0.278 0.989 0.883 S
0.011 0.722 0.117 S
0.511 0.222 0.383 S
0.778 0.489 0.617 S
```

As for the total magnetization: 20.0 μB per cell. For the energy relative to the elements, the calculation gives -1.1550 eV/atom. Its space group is No. 64. For the total energy, the calculation gives -17.4180 eV per atom.



[3]
Entry from the Materials Project: a relaxed Cs3FeSe3 crystal (r²SCAN).

```
Cs3FeSe3
1.0
3.772 -10.254 0.000
3.772 10.254 0.000
0.000 0.000 14.084
Cs Fe Se
12 4 12
Direct
0.864 0.864 0.680 Cs
0.136 0.136 0.320 Cs
0.636 0.636 0.180 Cs
0.364 0.364 0.820 Cs
0.178 0.529 0.125 Cs
0.471 0.822 0.875 Cs
0.971 0.322 0.625 Cs
0.678 0.029 0.375 Cs
0.822 0.471 0.875 Cs
0.529 0.178 0.125 Cs
0.029 0.678 0.375 Cs
0.322 0.971 0.625 Cs
0.920 0.080 0.000 Fe
0.420 0.580 0.500 Fe
0.080 0.920 0.000 Fe
0.580 0.420 0.500 Fe
0.289 0.289 0.566 Se
0.711 0.711 0.434 Se
0.211 0.211 0.066 Se
0.789 0.789 0.934 Se
0.717 0.009 0.118 Se
0.991 0.283 0.882 Se
0.491 0.783 0.618 Se
0.217 0.509 0.382 Se
0.283 0.991 0.882 Se
0.009 0.717 0.118 Se
0.509 0.217 0.382 Se
0.783 0.491 0.618 Se
```

As for the total magnetization: 20.0 μB per cell. For the energy relative to the elements, the calculation gives -1.1256 eV/atom. Its space group is No. 64. For the total energy, the calculation gives -20.0789 eV per atom.



[4]
Entry from the Materials Project: a relaxed CsFe2Se3 crystal (r²SCAN).

```
CsFe2Se3
1.0
-5.593 -2.197 -4.976
2.138 -6.661 3.454
-4.193 0.893 4.319
Cs Fe Se
2 4 6
Direct
0.338 0.662 0.750 Cs
0.662 0.338 0.250 Cs
0.136 0.136 0.000 Fe
0.136 0.136 0.500 Fe
0.864 0.864 0.000 Fe
0.864 0.864 0.500 Fe
0.878 0.122 0.750 Se
0.122 0.878 0.250 Se
0.376 0.158 0.750 Se
0.158 0.376 0.250 Se
0.624 0.842 0.250 Se
0.842 0.624 0.750 Se
```

As for the total magnetization: 17.3 μB per cell. For the energy relative to the elements, the calculation gives -0.6800 eV/atom. Its space group is No. 63. For the total energy, the calculation gives -16.8250 eV per atom.



[5]
Entry from the Materials Project: a relaxed Cs8Ga11 crystal (r²SCAN).

```
Cs8Ga11
1.0
6.621 5.669 4.888
0.322 9.852 -1.644
-8.989 7.611 13.541
Cs Ga
16 22
Direct
0.814 0.595 0.432 Cs
0.596 0.159 0.432 Cs
0.159 0.814 0.432 Cs
0.314 0.659 0.932 Cs
0.659 0.096 0.932 Cs
0.095 0.314 0.932 Cs
0.186 0.405 0.568 Cs
0.404 0.841 0.568 Cs
0.841 0.186 0.568 Cs
0.686 0.341 0.068 Cs
0.341 0.904 0.068 Cs
0.905 0.686 0.068 Cs
0.578 0.578 0.266 Cs
0.078 0.078 0.767 Cs
0.422 0.422 0.734 Cs
0.922 0.922 0.233 Cs
0.934 0.566 0.750 Ga
0.566 0.750 0.750 Ga
0.750 0.934 0.750 Ga
0.434 0.250 0.250 Ga
0.250 0.066 0.250 Ga
0.066 0.434 0.250 Ga
0.207 0.207 0.380 Ga
0.707 0.707 0.880 Ga
0.793 0.793 0.620 Ga
0.293 0.293 0.120 Ga
0.473 0.970 0.330 Ga
0.970 0.227 0.330 Ga
0.227 0.474 0.330 Ga
0.974 0.727 0.830 Ga
0.727 0.470 0.830 Ga
0.470 0.974 0.830 Ga
0.527 0.030 0.670 Ga
0.030 0.773 0.670 Ga
0.773 0.526 0.670 Ga
0.026 0.273 0.170 Ga
0.273 0.530 0.170 Ga
0.530 0.026 0.170 Ga
```

As for the total magnetization: 2.0 μB per cell. For the energy relative to the elements, the calculation gives -0.2128 eV/atom. Its space group is No. 15. For the total energy, the calculation gives -17.4096 eV per atom.



[6]
Entry from the Materials Project: a relaxed CsGaP3HO10 crystal (r²SCAN).

```
CsGaP3HO10
1.0
4.969 0.000 0.000
0.000 11.779 0.000
0.000 0.000 15.663
Cs Ga P H O
4 4 12 4 40
Direct
0.972 0.115 0.999 Cs
0.028 0.885 0.499 Cs
0.972 0.385 0.499 Cs
0.028 0.615 0.999 Cs
0.002 0.681 0.734 Ga
0.998 0.319 0.234 Ga
0.002 0.819 0.234 Ga
0.998 0.181 0.734 Ga
0.500 0.741 0.348 P
0.500 0.259 0.848 P
0.500 0.759 0.848 P
0.500 0.241 0.348 P
0.759 0.570 0.238 P
0.241 0.430 0.738 P
0.759 0.930 0.738 P
0.241 0.070 0.238 P
0.494 0.404 0.125 P
0.506 0.596 0.625 P
0.494 0.096 0.625 P
0.506 0.904 0.125 P
0.490 0.862 0.989 H
0.510 0.138 0.489 H
0.490 0.638 0.489 H
0.510 0.362 0.989 H
0.318 0.815 0.159 O
0.682 0.185 0.659 O
0.318 0.685 0.659 O
0.682 0.315 0.159 O
0.802 0.880 0.136 O
0.198 0.120 0.636 O
0.802 0.620 0.636 O
0.198 0.380 0.136 O
0.913 0.663 0.196 O
0.087 0.337 0.696 O
0.913 0.837 0.696 O
0.087 0.163 0.196 O
0.549 0.767 0.943 O
0.451 0.233 0.443 O
0.549 0.733 0.443 O
0.451 0.267 0.943 O
0.450 0.933 0.030 O
0.550 0.067 0.530 O
0.450 0.567 0.530 O
0.550 0.433 0.030 O
0.573 0.616 0.311 O
0.427 0.384 0.811 O
0.573 0.884 0.811 O
0.427 0.116 0.311 O
0.915 0.473 0.274 O
0.085 0.527 0.774 O
0.915 0.027 0.774 O
0.085 0.973 0.274 O
0.681 0.826 0.305 O
0.319 0.174 0.805 O
0.681 0.674 0.805 O
0.319 0.326 0.305 O
0.204 0.742 0.830 O
0.796 0.258 0.330 O
0.204 0.758 0.330 O
0.796 0.242 0.830 O
0.446 0.025 0.168 O
0.554 0.975 0.668 O
0.446 0.475 0.668 O
0.554 0.525 0.168 O
```

As for the total magnetization: 0.0 μB per cell. For the energy relative to the elements, the calculation gives -2.2956 eV/atom. Its space group is No. 29. For the total energy, the calculation gives -10.2167 eV per atom.



[7]
Entry from the Materials Project: a relaxed CsGaO2 crystal (r²SCAN).

```
CsGaO2
1.0
5.844 0.000 0.000
0.000 11.731 0.000
0.000 0.000 16.694
Cs Ga O
16 16 32
Direct
0.291 0.257 0.187 Cs
0.709 0.743 0.813 Cs
0.209 0.743 0.687 Cs
0.709 0.757 0.313 Cs
0.791 0.257 0.313 Cs
0.291 0.243 0.687 Cs
0.791 0.243 0.813 Cs
0.209 0.757 0.187 Cs
0.251 0.008 0.063 Cs
0.749 0.992 0.937 Cs
0.249 0.992 0.563 Cs
0.749 0.508 0.437 Cs
0.751 0.008 0.437 Cs
0.251 0.492 0.563 Cs
0.751 0.492 0.937 Cs
0.249 0.508 0.063 Cs
0.254 0.004 0.312 Ga
0.746 0.996 0.688 Ga
0.246 0.996 0.812 Ga
0.746 0.504 0.188 Ga
0.754 0.004 0.188 Ga
0.254 0.496 0.812 Ga
0.754 0.496 0.688 Ga
0.246 0.504 0.312 Ga
0.277 0.257 0.437 Ga
0.723 0.743 0.563 Ga
0.223 0.743 0.937 Ga
0.723 0.757 0.063 Ga
0.777 0.257 0.063 Ga
0.277 0.243 0.937 Ga
0.777 0.243 0.563 Ga
0.223 0.757 0.437 Ga
0.038 0.488 0.229 O
0.962 0.512 0.771 O
0.462 0.512 0.729 O
0.962 0.988 0.271 O
0.538 0.488 0.271 O
0.038 0.012 0.729 O
0.538 0.012 0.771 O
0.462 0.988 0.229 O
0.060 0.277 0.014 O
0.940 0.723 0.986 O
0.440 0.723 0.514 O
0.940 0.777 0.486 O
0.560 0.277 0.486 O
0.060 0.223 0.514 O
0.560 0.223 0.986 O
0.440 0.777 0.014 O
0.295 0.146 0.358 O
0.705 0.854 0.642 O
0.205 0.854 0.858 O
0.705 0.646 0.142 O
0.795 0.146 0.142 O
0.295 0.354 0.858 O
0.795 0.354 0.642 O
0.205 0.646 0.358 O
0.198 0.394 0.390 O
0.802 0.606 0.610 O
0.302 0.606 0.890 O
0.802 0.894 0.110 O
0.698 0.394 0.110 O
0.198 0.106 0.890 O
0.698 0.106 0.610 O
0.302 0.894 0.390 O
```

As for the total magnetization: 0.0 μB per cell. For the energy relative to the elements, the calculation gives -1.9791 eV/atom. Its space group is No. 61. For the total energy, the calculation gives -14.1032 eV per atom.



[8]
Entry from the Materials Project: a relaxed CsGaS3 crystal (r²SCAN).

```
CsGaS3
1.0
-1.885 -5.384 -3.048
-2.069 -0.648 7.344
-11.119 5.397 -2.657
Cs Ga S
4 4 12
Direct
0.281 0.253 0.916 Cs
0.781 0.253 0.584 Cs
0.219 0.747 0.416 Cs
0.719 0.747 0.084 Cs
0.356 0.809 0.771 Ga
0.144 0.191 0.271 Ga
0.856 0.809 0.729 Ga
0.644 0.191 0.229 Ga
0.812 0.021 0.325 S
0.312 0.021 0.175 S
0.367 0.558 0.673 S
0.642 0.693 0.585 S
0.358 0.307 0.415 S
0.142 0.693 0.915 S
0.867 0.558 0.827 S
0.133 0.442 0.173 S
0.688 0.979 0.825 S
0.188 0.979 0.675 S
0.633 0.442 0.327 S
0.858 0.307 0.085 S
```

As for the total magnetization: 0.0 μB per cell. For the energy relative to the elements, the calculation gives -0.9870 eV/atom. Its space group is No. 14. For the total energy, the calculation gives -13.1177 eV per atom.



What is the energy relative to the elements in the third record? -1.1256 eV/atom



Number 7 is which compound? CsGaO2



Number 2 is which compound? Cs3FeS3